DFT (meta-GGA r2SCAN) results for an optimized crystal structure of Y2Mo2O7.

a = 7.2625 Å, b = 7.2513 Å, c = 7.2695 Å
α = 59.95°, β = 59.89°, γ = 60.11°
Fractional positions:
Y (0.1250, 0.1250, 0.1250)
Y (0.6250, 0.1250, 0.1250)
Y (0.1250, 0.6250, 0.1250)
Y (0.1250, 0.1250, 0.6250)
Mo (0.6250, 0.6250, 0.6250)
Mo (0.1250, 0.6250, 0.6250)
Mo (0.6250, 0.1250, 0.6250)
Mo (0.6250, 0.6250, 0.1250)
O (0.2492, 0.2507, 0.2510)
O (0.0008, 0.9993, 0.9990)
O (0.5445, 0.9583, 0.5271)
O (0.2798, 0.7228, 0.2918)
O (0.5282, 0.5503, 0.9640)
O (0.9614, 0.5387, 0.5386)
O (0.5336, 0.9664, 0.9665)
O (0.9572, 0.9638, 0.5503)
O (0.9702, 0.5272, 0.9582)
O (0.7164, 0.2836, 0.2835)
O (0.2886, 0.7113, 0.7114)
O (0.7218, 0.6997, 0.2860)
O (0.2928, 0.2862, 0.6997)
O (0.7055, 0.2917, 0.7229)

Properties
The symmetry is No. 15. Its calculated formation energy is -2.907 eV/atom. The calculation puts the total moment at 0.0 μB per formula unit.